(w)
A geometry-optimized Na3Ni2P2C2O14 structure, computed with PBE with a Hubbard U.

Structure (CIF):
```
data_Na3Ni2P2C2O14
_symmetry_space_group_name_H-M 'P -1'
_symmetry_Int_Tables_number 2
_symmetry_space_group_name_Hall '-P 1'
_cell_length_a 8.376
_cell_length_b 8.376
_cell_length_c 10.154
_cell_angle_alpha 106.82
_cell_angle_beta 108.03
_cell_angle_gamma 103.55
loop_
_atom_site_label
_atom_site_type_symbol
_atom_site_fract_x
_atom_site_fract_y
_atom_site_fract_z
_atom_site_occupancy
Na1 Na 0.003 0.005 0.252 1
Na2 Na 0.246 0.760 0.754 1
Na3 Na 0.478 0.517 0.240 1
Ni1 Ni 0.183 0.439 0.846 1
Ni2 Ni 0.314 0.059 0.155 1
P1 P 0.050 0.298 0.073 1
P2 P 0.445 0.194 0.923 1
C1 C 0.019 0.272 0.574 1
C2 C 0.481 0.233 0.425 1
O1 O 0.026 0.772 0.326 1
O2 O 0.037 0.602 0.835 1
O3 O 0.062 0.816 0.565 1
O4 O 0.094 0.853 0.075 1
O5 O 0.160 0.221 0.174 1
O6 O 0.160 0.417 0.635 1
O7 O 0.180 0.422 0.033 1
O8 O 0.313 0.067 0.962 1
O9 O 0.337 0.275 0.826 1
O10 O 0.340 0.091 0.369 1
O11 O 0.406 0.657 0.928 1
O12 O 0.432 0.677 0.437 1
O13 O 0.476 0.724 0.677 1
O14 O 0.482 0.921 0.173 1
```

=====

(x)
A geometry-optimized Na3Ni2P2C2O14 structure, computed with PBE with a Hubbard U.

Structure (CIF):
```
data_Na3Ni2P2C2O14
_symmetry_space_group_name_H-M 'P 1 21 1'
_symmetry_Int_Tables_number 4
_symmetry_space_group_name_Hall 'P 2yb'
_cell_length_a 8.878
_cell_length_b 6.590
_cell_length_c 10.362
_cell_angle_alpha 90.00
_cell_angle_beta 91.30
_cell_angle_gamma 90.00
loop_
_atom_site_label
_atom_site_type_symbol
_atom_site_fract_x
_atom_site_fract_y
_atom_site_fract_z
_atom_site_occupancy
Na1 Na 0.244 0.000 0.372 1
Na2 Na 0.247 0.541 0.874 1
Na3 Na 0.249 0.019 0.871 1
Ni1 Ni 0.152 0.282 0.638 1
Ni2 Ni 0.156 0.285 0.143 1
P1 P 0.075 0.782 0.612 1
P2 P 0.077 0.781 0.105 1
C1 C 0.428 0.276 0.607 1
C2 C 0.430 0.277 0.107 1
O1 O 0.040 0.788 0.465 1
O2 O 0.041 0.787 0.956 1
O3 O 0.073 0.279 0.822 1
O4 O 0.077 0.271 0.318 1
O5 O 0.169 0.969 0.653 1
O6 O 0.170 0.594 0.652 1
O7 O 0.174 0.968 0.145 1
O8 O 0.175 0.593 0.134 1
O9 O 0.329 0.270 0.513 1
O10 O 0.329 0.279 0.012 1
O11 O 0.369 0.282 0.721 1
O12 O 0.370 0.273 0.220 1
O13 O 0.431 0.779 0.911 1
O14 O 0.433 0.778 0.411 1
```

=====

The data favor (w); the next most stable structure lies 21 meV per atom above it.

=====

(w)
A geometry-optimized Sm2MgMo2I8O30 structure, computed with PBE with a Hubbard U.

Structure (CIF):
```
data_Sm2MgMo2I8O30
_symmetry_space_group_name_H-M 'P 1'
_symmetry_Int_Tables_number 1
_symmetry_space_group_name_Hall 'P 1'
_cell_length_a 6.904
_cell_length_b 7.266
_cell_length_c 14.736
_cell_angle_alpha 91.45
_cell_angle_beta 92.22
_cell_angle_gamma 114.10
loop_
_atom_site_label
_atom_site_type_symbol
_atom_site_fract_x
_atom_site_fract_y
_atom_site_fract_z
_atom_site_occupancy
Sm1 Sm 0.000 0.000 0.000 1
Sm2 Sm 0.252 0.899 0.465 1
Mg1 Mg 0.094 0.801 0.690 1
Mo1 Mo 0.526 0.656 0.807 1
Mo2 Mo 0.735 0.241 0.311 1
I1 I 0.294 0.401 0.356 1
I2 I 0.332 0.575 0.095 1
I3 I 0.438 0.187 0.714 1
I4 I 0.614 0.199 0.076 1
I5 I 0.645 0.711 0.566 1
I6 I 0.870 0.739 0.232 1
I7 I 0.926 0.337 0.580 1
I8 I 0.965 0.491 0.863 1
O1 O 0.006 0.668 0.959 1
O2 O 0.028 0.848 0.135 1
O3 O 0.074 0.837 0.324 1
O4 O 0.107 0.611 0.587 1
O5 O 0.129 0.315 0.084 1
O6 O 0.228 0.051 0.791 1
O7 O 0.251 0.226 0.448 1
O8 O 0.254 0.043 0.616 1
O9 O 0.336 0.537 0.890 1
O10 O 0.360 0.627 0.217 1
O11 O 0.366 0.089 0.007 1
O12 O 0.378 0.638 0.426 1
O13 O 0.381 0.776 0.747 1
O14 O 0.389 0.419 0.703 1
O15 O 0.509 0.150 0.190 1
O16 O 0.539 0.058 0.375 1
O17 O 0.573 0.444 0.335 1
O18 O 0.575 0.534 0.080 1
O19 O 0.582 0.933 0.566 1
O20 O 0.672 0.360 0.568 1
O21 O 0.678 0.449 0.829 1
O22 O 0.683 0.979 0.064 1
O23 O 0.742 0.845 0.871 1
O24 O 0.780 0.751 0.685 1
O25 O 0.873 0.109 0.261 1
O26 O 0.880 0.487 0.218 1
O27 O 0.883 0.816 0.503 1
O28 O 0.888 0.252 0.916 1
O29 O 0.919 0.298 0.702 1
O30 O 0.936 0.387 0.400 1
```

=====

(x)
A geometry-optimized Sm2MgMo2I8O30 structure, computed with PBE with a Hubbard U.

Structure (CIF):
```
data_Sm2MgMo2I8O30
_symmetry_space_group_name_H-M 'P 1'
_symmetry_Int_Tables_number 1
_symmetry_space_group_name_Hall 'P 1'
_cell_length_a 6.982
_cell_length_b 7.192
_cell_length_c 14.351
_cell_angle_alpha 89.10
_cell_angle_beta 87.98
_cell_angle_gamma 65.15
loop_
_atom_site_label
_atom_site_type_symbol
_atom_site_fract_x
_atom_site_fract_y
_atom_site_fract_z
_atom_site_occupancy
Sm1 Sm 0.000 0.000 0.000 1
Sm2 Sm 0.141 0.152 0.494 1
Mg1 Mg 0.599 0.199 0.601 1
Mo1 Mo 0.479 0.366 0.159 1
Mo2 Mo 0.646 0.799 0.667 1
I1 I 0.207 0.642 0.635 1
I2 I 0.310 0.880 0.248 1
I3 I 0.318 0.440 0.890 1
I4 I 0.530 0.354 0.396 1
I5 I 0.606 0.821 0.910 1
I6 I 0.834 0.713 0.390 1
I7 I 0.840 0.296 0.764 1
I8 I 0.922 0.520 0.120 1
O1 O 0.038 0.450 0.402 1
O2 O 0.040 0.163 0.848 1
O3 O 0.121 0.972 0.156 1
O4 O 0.124 0.707 0.890 1
O5 O 0.139 0.986 0.351 1
O6 O 0.154 0.816 0.536 1
O7 O 0.291 0.506 0.071 1
O8 O 0.301 0.397 0.570 1
O9 O 0.312 0.617 0.259 1
O10 O 0.336 0.388 0.763 1
O11 O 0.338 0.235 0.213 1
O12 O 0.364 0.941 0.979 1
O13 O 0.452 0.984 0.593 1
O14 O 0.462 0.132 0.414 1
O15 O 0.480 0.873 0.792 1
O16 O 0.493 0.597 0.648 1
O17 O 0.562 0.478 0.898 1
O18 O 0.593 0.669 0.403 1
O19 O 0.640 0.566 0.144 1
O20 O 0.686 0.035 0.906 1
O21 O 0.687 0.177 0.094 1
O22 O 0.687 0.273 0.288 1
O23 O 0.747 0.242 0.484 1
O24 O 0.763 0.975 0.693 1
O25 O 0.835 0.753 0.265 1
O26 O 0.847 0.553 0.766 1
O27 O 0.847 0.760 0.055 1
O28 O 0.857 0.644 0.587 1
O29 O 0.975 0.212 0.650 1
O30 O 0.977 0.343 0.022 1
```

=====

The data favor (w); the next most stable structure lies 8 meV per atom above it.

=====

(w)
A geometry-optimized NdCrTeO6 structure, computed with PBE with a Hubbard U.

Structure (CIF):
```
data_NdCrTeO6
_symmetry_space_group_name_H-M 'P -3 1 c'
_symmetry_Int_Tables_number 163
_symmetry_space_group_name_Hall '-P 3 2c'
_cell_length_a 5.2344
_cell_length_b 5.2344
_cell_length_c 10.2375
_cell_angle_alpha 90.00
_cell_angle_beta 90.00
_cell_angle_gamma 120.00
loop_
_atom_site_label
_atom_site_type_symbol
_atom_site_fract_x
_atom_site_fract_y
_atom_site_fract_z
_atom_site_occupancy
Nd1 Nd 0.0000 0.0000 0.0000 1
Cr1 Cr 0.3333 0.6667 0.2500 1
Te1 Te 0.3333 0.6667 0.7500 1
O1 O 0.0103 0.3724 0.8569 1
```

=====

(x)
A geometry-optimized NdCrTeO6 structure, computed with PBE with a Hubbard U.

Structure (CIF):
```
data_NdCrTeO6
_symmetry_space_group_name_H-M 'P -3 1 c'
_symmetry_Int_Tables_number 163
_symmetry_space_group_name_Hall '-P 3 2c'
_cell_length_a 5.5497
_cell_length_b 5.5497
_cell_length_c 8.4912
_cell_angle_alpha 90.00
_cell_angle_beta 90.00
_cell_angle_gamma 120.00
loop_
_atom_site_label
_atom_site_type_symbol
_atom_site_fract_x
_atom_site_fract_y
_atom_site_fract_z
_atom_site_occupancy
Nd1 Nd 0.3333 0.6667 0.2500 1
Cr1 Cr 0.0000 0.0000 0.0000 1
Te1 Te 0.3333 0.6667 0.7500 1
O1 O 0.0567 0.3577 0.8803 1
```

=====

The data favor (w); the next most stable structure lies 325 meV per atom above it.

=====

(w)
A geometry-optimized MgCr4O12 structure, computed with PBE with a Hubbard U.

Structure (CIF):
```
data_MgCr4O12
_symmetry_space_group_name_H-M 'P 1'
_symmetry_Int_Tables_number 1
_symmetry_space_group_name_Hall 'P 1'
_cell_length_a 5.651
_cell_length_b 7.255
_cell_length_c 7.612
_cell_angle_alpha 82.74
_cell_angle_beta 77.52
_cell_angle_gamma 76.79
loop_
_atom_site_label
_atom_site_type_symbol
_atom_site_fract_x
_atom_site_fract_y
_atom_site_fract_z
_atom_site_occupancy
Mg1 Mg 0.000 0.000 0.000 1
Cr1 Cr 0.255 0.535 0.175 1
Cr2 Cr 0.303 0.948 0.585 1
Cr3 Cr 0.765 0.330 0.343 1
Cr4 Cr 0.822 0.746 0.746 1
O1 O 0.100 0.774 0.609 1
O2 O 0.189 0.078 0.760 1
O3 O 0.201 0.757 0.085 1
O4 O 0.333 0.052 0.385 1
O5 O 0.338 0.393 0.019 1
O6 O 0.487 0.505 0.296 1
O7 O 0.592 0.781 0.622 1
O8 O 0.714 0.251 0.551 1
O9 O 0.756 0.896 0.903 1
O10 O 0.858 0.534 0.839 1
O11 O 0.860 0.172 0.189 1
O12 O 0.985 0.491 0.312 1
```

=====

(x)
A geometry-optimized MgCr4O12 structure, computed with PBE with a Hubbard U.

Structure (CIF):
```
data_MgCr4O12
_symmetry_space_group_name_H-M 'P 1'
_symmetry_Int_Tables_number 1
_symmetry_space_group_name_Hall 'P 1'
_cell_length_a 4.778
_cell_length_b 7.225
_cell_length_c 9.282
_cell_angle_alpha 67.68
_cell_angle_beta 85.56
_cell_angle_gamma 87.51
loop_
_atom_site_label
_atom_site_type_symbol
_atom_site_fract_x
_atom_site_fract_y
_atom_site_fract_z
_atom_site_occupancy
Mg1 Mg 0.000 0.000 0.000 1
Cr1 Cr 0.038 0.507 0.848 1
Cr2 Cr 0.079 0.226 0.446 1
Cr3 Cr 0.527 0.746 0.933 1
Cr4 Cr 0.601 0.998 0.349 1
O1 O 0.156 0.273 0.925 1
O2 O 0.197 0.193 0.611 1
O3 O 0.290 0.780 0.064 1
O4 O 0.301 0.683 0.808 1
O5 O 0.351 0.196 0.313 1
O6 O 0.447 0.791 0.442 1
O7 O 0.743 0.943 0.862 1
O8 O 0.768 0.012 0.182 1
O9 O 0.784 0.538 0.985 1
O10 O 0.833 0.035 0.475 1
O11 O 0.893 0.548 0.691 1
O12 O 0.940 0.443 0.368 1
```

=====

The data favor (w); the next most stable structure lies 30 meV per atom above it.

=====

(w)
A geometry-optimized Fe10OF19 structure, computed with PBE with a Hubbard U.

Structure (CIF):
```
data_Fe10OF19
_symmetry_space_group_name_H-M 'A m m 2'
_symmetry_Int_Tables_number 38
_symmetry_space_group_name_Hall 'A 2 -2'
_cell_length_a 16.563
_cell_length_b 6.818
_cell_length_c 6.745
_cell_angle_alpha 90.00
_cell_angle_beta 90.00
_cell_angle_gamma 90.00
loop_
_atom_site_label
_atom_site_type_symbol
_atom_site_fract_x
_atom_site_fract_y
_atom_site_fract_z
_atom_site_occupancy
Fe1 Fe 0.000 0.000 0.000 1
Fe2 Fe 0.095 0.000 0.534 1
Fe3 Fe 0.200 0.000 0.027 1
Fe4 Fe 0.299 0.000 0.524 1
Fe5 Fe 0.400 0.000 0.025 1
Fe6 Fe 0.500 0.000 0.525 1
O1 O 0.000 0.000 0.729 1
F1 F 0.000 0.000 0.307 1
F2 F 0.096 0.193 0.026 1
F3 F 0.197 0.000 0.329 1
F4 F 0.200 0.000 0.726 1
F5 F 0.300 0.200 0.025 1
F6 F 0.400 0.000 0.326 1
F7 F 0.400 0.000 0.724 1
F8 F 0.500 0.200 0.025 1
```

=====

(x)
A geometry-optimized Fe10OF19 structure, computed with PBE with a Hubbard U.

Structure (CIF):
```
data_Fe10OF19
_symmetry_space_group_name_H-M 'A m m 2'
_symmetry_Int_Tables_number 38
_symmetry_space_group_name_Hall 'A 2 -2'
_cell_length_a 3.287
_cell_length_b 6.823
_cell_length_c 33.962
_cell_angle_alpha 90.00
_cell_angle_beta 90.00
_cell_angle_gamma 90.00
loop_
_atom_site_label
_atom_site_type_symbol
_atom_site_fract_x
_atom_site_fract_y
_atom_site_fract_z
_atom_site_occupancy
Fe1 Fe 0.000 0.000 0.000 1
Fe2 Fe 0.000 0.000 0.192 1
Fe3 Fe 0.000 0.000 0.399 1
Fe4 Fe 0.000 0.000 0.599 1
Fe5 Fe 0.000 0.000 0.799 1
Fe6 Fe 0.500 0.000 0.101 1
Fe7 Fe 0.500 0.000 0.298 1
Fe8 Fe 0.500 0.000 0.499 1
Fe9 Fe 0.500 0.000 0.699 1
Fe10 Fe 0.500 0.000 0.899 1
O1 O 0.500 0.000 0.162 1
F1 F 0.000 0.200 0.299 1
F2 F 0.000 0.200 0.499 1
F3 F 0.000 0.200 0.899 1
F4 F 0.000 0.201 0.099 1
F5 F 0.000 0.205 0.701 1
F6 F 0.500 0.000 0.040 1
F7 F 0.500 0.000 0.237 1
F8 F 0.500 0.000 0.358 1
F9 F 0.500 0.000 0.439 1
F10 F 0.500 0.000 0.559 1
F11 F 0.500 0.000 0.640 1
F12 F 0.500 0.000 0.759 1
F13 F 0.500 0.000 0.839 1
F14 F 0.500 0.000 0.959 1
```

=====

The data favor (x); the next most stable structure lies 9 meV per atom above it.

=====

(w)
A geometry-optimized Li3Mn5OF11 structure, computed with PBE with a Hubbard U.

Structure (CIF):
```
data_Li3Mn5OF11
_symmetry_space_group_name_H-M 'P 1'
_symmetry_Int_Tables_number 1
_symmetry_space_group_name_Hall 'P 1'
_cell_length_a 5.364
_cell_length_b 5.766
_cell_length_c 9.420
_cell_angle_alpha 73.43
_cell_angle_beta 89.14
_cell_angle_gamma 63.14
loop_
_atom_site_label
_atom_site_type_symbol
_atom_site_fract_x
_atom_site_fract_y
_atom_site_fract_z
_atom_site_occupancy
Li1 Li 0.000 0.000 0.000 1
Li2 Li 0.211 0.553 0.719 1
Li3 Li 0.747 0.484 0.241 1
Mn1 Mn 0.075 0.828 0.348 1
Mn2 Mn 0.309 0.366 0.088 1
Mn3 Mn 0.536 0.966 0.499 1
Mn4 Mn 0.570 0.869 0.858 1
Mn5 Mn 0.851 0.359 0.603 1
O1 O 0.953 0.672 0.542 1
F1 F 0.004 0.653 0.190 1
F2 F 0.018 0.653 0.888 1
F3 F 0.080 0.141 0.149 1
F4 F 0.092 0.150 0.451 1
F5 F 0.119 0.146 0.812 1
F6 F 0.479 0.653 0.054 1
F7 F 0.497 0.676 0.707 1
F8 F 0.521 0.646 0.390 1
F9 F 0.577 0.173 0.650 1
F10 F 0.594 0.147 0.960 1
F11 F 0.608 0.178 0.289 1
```

=====

(x)
A geometry-optimized Li3Mn5OF11 structure, computed with PBE with a Hubbard U.

Structure (CIF):
```
data_Li3Mn5OF11
_symmetry_space_group_name_H-M 'P 1'
_symmetry_Int_Tables_number 1
_symmetry_space_group_name_Hall 'P 1'
_cell_length_a 5.413
_cell_length_b 5.723
_cell_length_c 9.429
_cell_angle_alpha 73.71
_cell_angle_beta 89.32
_cell_angle_gamma 62.14
loop_
_atom_site_label
_atom_site_type_symbol
_atom_site_fract_x
_atom_site_fract_y
_atom_site_fract_z
_atom_site_occupancy
Li1 Li 0.000 0.000 0.000 1
Li2 Li 0.056 0.880 0.349 1
Li3 Li 0.577 0.854 0.868 1
Mn1 Mn 0.257 0.490 0.749 1
Mn2 Mn 0.313 0.378 0.095 1
Mn3 Mn 0.527 0.997 0.493 1
Mn4 Mn 0.747 0.478 0.254 1
Mn5 Mn 0.824 0.333 0.600 1
O1 O 0.770 0.178 0.444 1
F1 F 0.231 0.163 0.293 1
F2 F 0.254 0.181 0.948 1
F3 F 0.268 0.178 0.651 1
F4 F 0.299 0.687 0.195 1
F5 F 0.314 0.686 0.894 1
F6 F 0.367 0.685 0.550 1
F7 F 0.711 0.173 0.806 1
F8 F 0.756 0.183 0.136 1
F9 F 0.813 0.665 0.706 1
F10 F 0.836 0.670 0.400 1
F11 F 0.856 0.668 0.052 1
```

=====

The data favor (w); the next most stable structure lies 8 meV per atom above it.